Material: Nb4NiSe8
Method: DFT, PBE
State: relaxed

## Properties
* E_tot: -6.50 eV/atom
* ΔH_f (0 K): -1084 meV/atom

Lattice parameters (Å, degrees): 6.9812 6.9812 12.6281 90.00 90.00 120.00
Space group P6_3/mmc (No. 194)
One atom of each set of equivalent atoms:
Nb (0.0000, 0.0000, 0.2500) (multiplicity 2)
Nb (0.0150, 0.5075, 0.2500) (multiplicity 6)
Ni (0.0000, 0.0000, 0.0000) (multiplicity 2)
Se (0.1680, 0.3360, 0.6180) (multiplicity 12)
Se (0.3333, 0.6667, 0.1117) (multiplicity 4)



Material: Ba2YBiO6
Method: DFT, PBE
State: relaxed

## Properties
* E_tot: -6.79 eV/atom
* ΔH_f (0 K): -2812 meV/atom

Lattice parameters (Å, degrees): 8.721 8.721 8.721 90.00 90.00 90.00
Space group Fm-3m (No. 225)
One atom of each set of equivalent atoms:
Ba (0.250, 0.250, 0.250) (multiplicity 8)
Y (0.000, 0.000, 0.000) (multiplicity 4)
Bi (0.000, 0.000, 0.500) (multiplicity 4)
O (0.000, 0.000, 0.256) (multiplicity 24)



Material: Na3BO3
Method: DFT, PBE
State: relaxed

## Properties
* E_tot: -5.61 eV/atom
* ΔH_f (0 K): -2267 meV/atom

Lattice parameters (Å, degrees): 5.730 7.567 9.689 90.00 123.56 90.00
Space group P2_1/c (No. 14)
One atom of each set of equivalent atoms:
Na (0.051, 0.149, 0.431) (multiplicity 4)
Na (0.209, 0.526, 0.457) (multiplicity 4)
Na (0.404, 0.219, 0.278) (multiplicity 4)
B (0.278, 0.662, 0.847) (multiplicity 4)
O (0.062, 0.648, 0.873) (multiplicity 4)
O (0.250, 0.583, 0.708) (multiplicity 4)
O (0.489, 0.231, 0.049) (multiplicity 4)



Material: Eu2Ga9Rh3
Method: DFT, PBE
State: relaxed

## Properties
* E_tot: -5.63 eV/atom
* ΔH_f (0 K): -638 meV/atom

Lattice parameters (Å, degrees): 13.145 7.708 9.840 90.00 90.00 90.00
Space group Cmcm (No. 63)
One atom of each set of equivalent atoms:
Eu (0.163, 0.166, 0.250) (multiplicity 8)
Ga (0.000, 0.131, 0.750) (multiplicity 4)
Ga (0.000, 0.336, 0.056) (multiplicity 8)
Ga (0.104, 0.441, 0.750) (multiplicity 8)
Ga (0.165, 0.170, 0.574) (multiplicity 16)
Rh (0.000, 0.000, 0.000) (multiplicity 4)
Rh (0.171, 0.500, 0.000) (multiplicity 8)